Entry 1:
Here is an optimized crystal structure of MgCr4O12 from Materials Project. Energies are from PBE+U.

```
MgCr4O12
1.0
-5.715 -1.529 4.200
-0.143 -6.365 -4.172
4.152 -3.064 2.304
O Cr Mg
12 4 1
Direct
0.252 0.946 0.196
0.937 0.204 0.346
0.393 0.125 0.676
0.364 0.669 0.047
0.633 0.356 0.434
0.910 0.580 0.201
0.755 0.062 0.778
0.110 0.414 0.820
0.639 0.342 0.942
0.031 0.776 0.674
0.350 0.653 0.549
0.616 0.880 0.333
0.394 0.790 0.280
0.189 0.621 0.769
0.806 0.379 0.231
0.605 0.219 0.712
0.859 0.965 0.534
```

Polymorph energy (0 for the lowest one)   21 meV per atom
Formation enthalpy at 0 K   -168.6 kJ/mol of atoms
Calculated total energy   -113.05 eV/cell



Entry 2:
Here is an optimized crystal structure of LiV4Ge4O16 from Materials Project. Energies are from PBE+U.

```
LiV4Ge4O16
1.0
-1.758 3.800 1.464
-0.885 -2.001 4.200
10.361 3.426 3.801
O V Ge Li
16 4 4 1
Direct
0.740 0.913 0.435
0.234 0.082 0.308
0.248 0.577 0.938
0.761 0.415 0.308
0.252 0.581 0.435
0.225 0.580 0.692
0.749 0.424 0.062
0.267 0.081 0.564
0.746 0.416 0.562
0.778 0.921 0.693
0.729 0.918 0.191
0.267 0.582 0.191
0.274 0.081 0.809
0.248 0.078 0.063
0.728 0.420 0.809
0.751 0.924 0.938
0.499 0.751 0.069
0.000 0.238 0.435
0.499 0.250 0.931
0.003 0.760 0.567
0.497 0.746 0.316
0.002 0.749 0.820
0.504 0.255 0.683
0.995 0.252 0.179
0.502 0.256 0.437
```

Polymorph energy (0 for the lowest one)   0 meV per atom
Formation enthalpy at 0 K   -207.4 kJ/mol of atoms
Calculated total energy   -171.86 eV/cell



Entry 3:
Here is an optimized crystal structure of Li9Mn2Co5O16 from Materials Project. Energies are from PBE+U.

```
Li9Mn2Co5O16
1.0
-0.620 -2.526 1.268
7.014 1.825 7.067
-4.231 4.994 7.879
O Co Li Mn
16 5 9 2
Direct
0.500 0.642 0.111
0.000 0.358 0.118
0.000 0.884 0.106
0.500 0.866 0.380
0.000 0.618 0.384
0.500 0.632 0.616
0.000 0.113 0.392
0.500 0.874 0.893
0.000 0.642 0.882
0.500 0.368 0.384
0.500 0.126 0.107
0.000 0.382 0.616
0.000 0.887 0.608
0.000 0.116 0.894
0.500 0.134 0.620
0.500 0.358 0.889
0.000 0.250 0.502
0.500 0.000 0.500
0.000 0.750 0.498
0.500 0.500 0.500
0.500 0.000 0.000
0.000 0.506 0.756
0.000 0.494 0.244
0.500 0.500 0.000
0.500 0.741 0.756
0.000 0.004 0.747
0.500 0.259 0.244
0.500 0.749 0.250
0.000 0.996 0.253
0.500 0.251 0.750
0.000 0.747 0.997
0.000 0.253 0.003
```

Polymorph energy (0 for the lowest one)   20 meV per atom
Formation enthalpy at 0 K   -177.9 kJ/mol of atoms
Calculated total energy   -186.70 eV/cell



Entry 4:
Here is an optimized crystal structure of LiCrP3O9 from Materials Project. Energies are from PBE+U.

```
LiCrP3O9
1.0
-1.374 -2.584 9.302
6.648 -6.183 -3.559
3.154 9.143 0.118
O P Li Cr
36 12 4 4
Direct
0.141 0.701 0.395
0.997 0.730 0.038
0.250 0.011 0.562
0.627 0.353 0.157
0.701 0.377 0.428
0.803 0.369 0.015
0.739 0.479 0.727
0.556 0.176 0.506
0.493 0.744 0.152
0.418 0.312 0.263
0.913 0.178 0.362
0.950 0.824 0.373
0.582 0.688 0.737
0.190 0.095 0.902
0.003 0.270 0.962
0.197 0.631 0.985
0.750 0.989 0.438
0.444 0.824 0.494
0.323 0.436 0.941
0.157 0.827 0.898
0.677 0.564 0.059
0.859 0.299 0.605
0.050 0.176 0.627
0.705 0.072 0.791
0.373 0.647 0.843
0.261 0.521 0.273
0.358 0.394 0.608
0.087 0.822 0.638
0.810 0.905 0.098
0.507 0.256 0.848
0.642 0.606 0.392
0.843 0.173 0.102
0.906 0.864 0.781
0.094 0.136 0.219
0.295 0.928 0.209
0.299 0.623 0.572
0.646 0.389 0.014
0.354 0.611 0.986
0.702 0.331 0.572
0.298 0.669 0.428
0.924 0.086 0.190
0.076 0.914 0.810
0.896 0.149 0.510
0.104 0.851 0.490
0.159 0.790 0.047
0.841 0.210 0.953
0.589 0.425 0.315
0.411 0.575 0.685
0.497 0.932 0.345
0.503 0.068 0.655
0.682 0.836 0.647
0.318 0.164 0.353
0.215 0.297 0.102
0.720 0.770 0.260
0.785 0.703 0.898
0.280 0.230 0.740
```

Polymorph energy (0 for the lowest one)   0 meV per atom
Formation enthalpy at 0 K   -251.0 kJ/mol of atoms
Calculated total energy   -402.28 eV/cell